Entry 1:
A plane-wave DFT calculation with PBE was carried out for a relaxed BaCd11 crystal.

## Properties
ΔE_f = -160 meV per atom
Calculated volume = 24.7 A^3/atom

Geometry as extended XYZ:
```
24
Lattice="8.965 1.346 -2.911 -4.099 -7.398 4.372 -4.413 -0.425 -8.426" Properties=species:S:1:pos:R:3 pbc="T T T"
Cd 0.219 -4.914 -1.913
Cd -1.520 -2.712 -0.831
Cd 5.616 0.477 -8.236
Cd 0.677 -3.785 -5.054
Cd -5.776 -6.623 -2.858
Cd 1.778 -3.562 -7.796
Cd -0.266 -0.941 -5.202
Cd 3.557 -1.415 -9.217
Cd -3.570 -6.411 1.355
Cd -2.045 -3.087 -3.781
Cd 2.928 -0.067 -1.539
Cd 5.056 -2.118 -2.053
Cd 0.000 0.000 0.000
Cd -3.040 -5.424 -1.662
Cd 0.868 -1.960 -2.520
Cd 0.835 -0.718 -7.944
Cd 5.706 0.836 -2.659
Cd -1.294 -5.950 -4.313
Cd 2.997 -4.010 -3.033
Cd -0.882 -5.137 0.829
Cd -4.105 -4.979 -4.762
Cd 6.807 1.059 -5.402
Ba 2.433 -3.026 0.731
Ba 3.492 -1.052 -5.303
```

Entry 2:
A plane-wave DFT calculation with PBE was carried out for a relaxed Ba7Cd31 crystal.

## Properties
ΔE_f = -236 meV per atom
Calculated volume = 28.2 A^3/atom

Geometry as extended XYZ:
```
38
Lattice="5.416 -9.380 0.000 5.416 9.380 0.000 0.000 0.000 10.554" Properties=species:S:1:pos:R:3 pbc="T T T"
Cd 2.989 4.528 2.487
Cd 7.842 4.528 2.487
Cd 8.376 -3.126 5.277
Cd 2.679 1.547 3.501
Cd 3.935 -0.564 5.277
Cd 0.000 0.000 8.965
Cd 8.153 1.547 7.053
Cd 2.426 -1.401 2.538
Cd 5.416 3.127 1.545
Cd 7.842 4.528 8.067
Cd 2.456 -3.126 5.277
Cd 5.416 -5.001 0.000
Cd 3.792 -2.190 0.000
Cd 5.416 -6.578 2.538
Cd 8.405 -1.401 2.538
Cd 6.895 -5.690 5.277
Cd 2.679 1.547 7.053
Cd 5.416 3.127 9.009
Cd 6.896 -0.564 5.277
Cd 5.416 6.287 7.053
Cd 7.039 -2.190 0.000
Cd 5.416 6.287 3.501
Cd 2.989 4.528 8.067
Cd 5.416 0.325 8.067
Cd 0.000 0.000 1.589
Cd 8.153 1.547 3.501
Cd 8.405 -1.401 8.017
Cd 3.936 -5.690 5.277
Cd 2.426 -1.401 8.017
Cd 5.416 -6.578 8.017
Cd 5.416 0.325 2.487
Ba 5.416 -3.127 7.515
Ba 5.416 -3.127 3.040
Ba 2.695 1.556 0.000
Ba 5.416 3.127 5.277
Ba 8.136 1.556 0.000
Ba 5.416 6.268 0.000
Ba 0.000 0.000 5.277
```

Entry 3:
A plane-wave DFT calculation with PBE was carried out for a relaxed BaCd crystal.

## Properties
ΔE_f = -328 meV per atom
Calculated volume = 39.2 A^3/atom

Geometry as extended XYZ:
```
2
Lattice="-1.302 -1.210 3.893 0.741 -4.089 -1.023 4.009 0.363 1.453" Properties=species:S:1:pos:R:3 pbc="T T T"
Ba 0.000 0.000 0.000
Cd 1.724 -2.468 2.162
```

Entry 4:
A plane-wave DFT calculation with PBE was carried out for a relaxed BaCdCl4O4 crystal.

## Properties
ΔE_f = -1072 meV per atom
Calculated volume = 25.3 A^3/atom
Relative energy among the computed polymorphs = 0.0000 eV per atom

Geometry as extended XYZ:
```
20
Lattice="7.172 0.000 0.000 -1.630 8.608 0.000 -1.952 -2.542 8.203" Properties=species:S:1:pos:R:3 pbc="T T T"
O -1.618 7.426 2.768
O 1.893 -0.274 4.966
O 1.447 5.544 4.140
O 2.143 0.522 4.062
O 5.280 -0.327 4.773
O 1.698 6.340 3.236
O 5.208 -1.360 5.435
O -1.689 6.393 3.430
Cl 1.593 5.029 7.910
Cl -0.111 2.933 2.973
Cl -0.256 5.861 0.528
Cl 3.702 3.133 5.230
Cl 0.220 1.812 6.575
Cl 3.371 4.254 1.628
Cl 3.847 0.205 7.674
Cl 1.998 1.037 0.293
Ba -0.997 4.613 6.244
Ba 4.588 1.453 1.959
Cd 2.610 2.577 7.574
Cd 0.981 3.488 0.629
```

Entry 5:
A plane-wave DFT calculation with PBE was carried out for a relaxed BaCdCl4O4 crystal.

## Properties
ΔE_f = -780 meV per atom
Calculated volume = 25.1 A^3/atom
Relative energy among the computed polymorphs = 0.2926 eV per atom

Geometry as extended XYZ:
```
20
Lattice="-8.683 0.891 -0.687 0.955 -5.182 6.946 2.057 6.284 2.741" Properties=species:S:1:pos:R:3 pbc="T T T"
O 0.386 1.578 4.675
O -0.394 0.815 4.583
O -6.588 3.018 1.075
O -5.277 1.178 4.417
O 0.917 -1.025 7.925
O -6.057 0.416 4.325
O -7.608 2.516 0.971
O 1.937 -0.523 8.029
Cd -2.378 2.430 7.304
Cd -3.293 -0.437 1.696
Cl -1.932 3.632 4.300
Cl -2.884 1.685 1.981
Cl -0.712 -1.296 2.213
Cl 0.157 1.685 8.300
Cl -4.960 3.289 6.787
Cl -5.829 0.308 0.700
Cl -3.739 -1.639 4.701
Cl -2.787 0.308 7.019
Ba -4.882 4.253 3.260
Ba -0.789 -2.260 5.740
```

Entry 6:
A plane-wave DFT calculation with PBE was carried out for a relaxed BaCdGaF7 crystal.

## Properties
ΔE_f = -3210 meV per atom
Calculated volume = 14.7 A^3/atom

Geometry as extended XYZ:
```
40
Lattice="-0.791 -3.867 -6.467 4.162 -4.628 -4.320 -5.126 -12.248 7.485" Properties=species:S:1:pos:R:3 pbc="T T T"
F 1.318 -5.369 -3.536
F 0.306 -12.287 -2.327
F 0.234 -12.510 0.366
F 2.220 -7.919 -4.721
F -1.688 -6.052 -2.161
F -1.452 -12.606 2.795
F 0.104 -3.229 -2.130
F -1.859 -17.513 -1.172
F -2.251 -11.338 -0.229
F 0.883 -7.053 -1.328
F -3.975 -12.824 1.419
F -0.731 -14.943 1.731
F 0.914 -5.863 -6.917
F -2.061 -8.456 -0.974
F -5.330 -15.244 2.157
F 0.623 -9.641 -0.116
F -0.066 -14.691 -1.140
F 0.170 -11.308 -5.146
F -2.378 -11.101 -3.185
F 3.575 -5.498 -5.459
F -1.024 -5.799 -5.032
F -0.303 -8.137 -6.096
F -3.072 -15.374 0.235
F -1.989 -8.233 -3.668
F -2.668 -14.880 3.616
F 0.497 -9.405 -3.072
F -2.638 -13.690 -1.973
F -1.925 -9.435 1.845
Ba -0.291 -14.532 -3.986
Ba -3.675 -12.388 4.580
Ba -1.464 -6.210 0.685
Ba 1.920 -8.355 -7.881
Cd 1.685 -4.248 -5.393
Cd -1.939 -13.467 0.316
Cd -0.877 -10.371 -1.651
Cd 0.185 -7.276 -3.617
Ga -0.176 -2.583 -0.364
Ga -1.579 -18.159 -2.938
Ga 1.088 -12.052 -6.635
Ga -2.843 -8.691 3.334
```

Entry 7:
A plane-wave DFT calculation with PBE was carried out for a relaxed BaCdPF crystal.

## Properties
ΔE_f = -1915 meV per atom
Calculated volume = 23.2 A^3/atom

Geometry as extended XYZ:
```
8
Lattice="-2.225 -3.569 -1.281 2.743 -0.489 -3.401 5.712 -5.500 5.399" Properties=species:S:1:pos:R:3 pbc="T T T"
P 3.255 -2.058 0.080
P 2.716 -5.471 2.978
Ba 6.172 -4.866 2.836
Ba -0.200 -2.663 0.221
F 0.259 -2.029 -2.341
F 0.000 0.000 0.000
Cd 2.856 -2.750 2.699
Cd 3.115 -4.779 0.358
```

Entry 8:
A plane-wave DFT calculation with PBE was carried out for a relaxed BaCdSbF crystal.

## Properties
ΔE_f = -1907 meV per atom
Calculated volume = 26.8 A^3/atom

Geometry as extended XYZ:
```
8
Lattice="-1.887 -1.164 4.102 4.133 0.601 2.072 -2.215 9.475 1.671" Properties=species:S:1:pos:R:3 pbc="T T T"
F -1.107 4.738 0.835
F 0.016 4.456 3.922
Sb 1.652 2.073 1.349
Sb -2.744 7.120 3.409
Cd 1.123 -0.282 3.087
Cd 0.000 0.000 0.000
Ba 0.644 6.385 2.109
Ba -1.736 2.808 2.649
```

Entry 9:
A plane-wave DFT calculation with PBE was carried out for a relaxed BaCdGe crystal.

## Properties
ΔE_f = -465 meV per atom
Calculated volume = 31.6 A^3/atom

Geometry as extended XYZ:
```
6
Lattice="0.789 2.917 -3.690 -3.742 0.736 2.864 5.410 5.646 5.618" Properties=species:S:1:pos:R:3 pbc="T T T"
Cd -0.879 2.874 2.084
Cd 3.336 6.424 2.708
Ge 0.631 3.601 -0.101
Ge 1.826 5.697 4.893
Ba 0.000 0.000 0.000
Ba 2.705 2.823 2.809
```

Entry 10:
A plane-wave DFT calculation with PBE was carried out for a relaxed BaCd2Ge2 crystal.

## Properties
ΔE_f = -352 meV per atom
Calculated volume = 26.3 A^3/atom

Geometry as extended XYZ:
```
5
Lattice="-2.385 2.385 5.785 2.385 -2.385 5.785 2.385 2.385 -5.785" Properties=species:S:1:pos:R:3 pbc="T T T"
Cd 2.385 0.000 2.892
Cd 0.000 2.385 2.892
Ge 0.000 0.000 4.487
Ge 0.000 0.000 7.082
Ba 0.000 0.000 0.000
```

Entry 11:
A plane-wave DFT calculation with PBE was carried out for a relaxed Ba2CdGe10 crystal.

## Properties
ΔE_f = -243 meV per atom
Calculated volume = 25.6 A^3/atom

Geometry as extended XYZ:
```
52
Lattice="0.067 -9.884 4.879 -7.360 3.596 7.376 -8.155 -3.282 -6.538" Properties=species:S:1:pos:R:3 pbc="T T T"
Ge -6.770 -7.397 5.080
Ge -5.527 -3.425 -3.844
Ge -8.637 -8.149 3.584
Ge -6.005 -7.749 9.279
Ge -5.367 -4.747 -0.101
Ge -12.293 -10.279 4.238
Ge -10.572 -6.533 3.863
Ge -9.351 -6.167 0.083
Ge -5.654 -11.088 -0.241
Ge -7.859 -7.868 1.207
Ge -0.795 -2.564 2.279
Ge -0.768 -6.519 4.231
Ge -7.962 -10.090 0.005
Ge -7.833 -4.237 -0.584
Ge -6.451 -0.008 8.052
Ge -4.466 -4.201 3.999
Ge -9.923 -4.801 5.609
Ge -3.091 -9.172 6.359
Ge -9.380 -11.703 1.318
Ge -10.590 -2.946 2.150
Ge -12.647 -7.797 4.636
Ge -2.384 -9.771 2.381
Ge -5.507 -6.959 1.184
Ge -8.677 -2.178 0.636
Ge -10.093 -2.440 4.636
Ge -11.238 -5.406 1.652
Ge -7.605 -1.745 4.543
Ge -2.841 -1.758 1.002
Ge -4.868 -6.664 3.605
Ge -6.810 -1.426 2.133
Ge -7.954 -3.816 -3.096
Ge -7.427 -5.696 8.821
Ge -5.995 -3.296 5.855
Ge -2.798 -8.012 4.145
Ge -12.689 -1.559 1.613
Ge -7.529 -5.308 6.302
Ge -7.519 0.521 5.757
Ge -2.614 -2.253 -1.509
Ge -6.426 -3.546 9.796
Ge -4.899 -3.056 1.769
Ba -7.728 -4.777 2.859
Ba -3.685 -0.714 4.956
Ba -9.346 -2.150 8.149
Ba -7.355 3.589 7.373
Ba -13.424 -3.791 4.880
Ba -9.636 1.045 2.316
Ba -3.651 -5.557 7.344
Ba -5.881 -0.788 -1.447
Cd -4.028 -9.050 0.389
Cd -5.651 -8.905 6.930
Cd -9.729 -10.547 3.661
Cd -1.804 -4.045 4.281
```

Entry 12:
A plane-wave DFT calculation with PBE was carried out for a relaxed BaCdGeS4 crystal.

## Properties
ΔE_f = -1294 meV per atom
Calculated volume = 27.8 A^3/atom

Geometry as extended XYZ:
```
56
Lattice="-9.628 4.294 6.918 -2.087 -2.589 -12.163 3.134 -11.294 5.312" Properties=species:S:1:pos:R:3 pbc="T T T"
Ba -1.335 -5.169 1.434
Ba -7.451 -8.297 6.086
Ba -6.192 -3.071 4.796
Ba -6.891 -0.453 -8.598
Ba -5.747 0.837 -2.573
Ba -7.150 -4.434 -1.324
Ba -0.016 0.002 -0.007
Ba -2.295 -6.531 -4.687
S -6.763 -0.413 3.034
S -7.231 -4.566 2.027
S -9.522 -2.407 -0.071
S -3.264 -10.040 -0.496
S -5.003 -6.133 5.525
S -1.301 -9.666 -4.234
S -8.085 -7.925 2.894
S -1.355 -5.431 4.732
S -5.411 -1.698 -0.455
S -2.836 0.133 1.729
S -8.632 0.934 -0.921
S -1.434 -5.174 -10.127
S -0.582 -3.790 -3.928
S -7.636 2.267 5.205
S -4.683 -4.528 -3.526
S -6.169 -3.288 8.115
S -0.243 -8.317 1.833
S -6.057 -7.466 -0.546
S -4.539 -8.612 -3.565
S -1.950 -2.564 -0.424
S 1.147 -9.607 -1.639
S -8.528 -1.086 6.055
S -3.829 -1.184 -4.398
S -3.694 -3.221 2.607
S -7.065 -6.637 8.976
S -7.218 -1.950 -3.407
S -2.247 -8.770 5.587
S -2.411 -6.694 -1.363
S -6.258 -3.065 -6.658
S 0.104 -10.898 -7.721
S -2.406 -4.107 -6.863
S -3.498 -7.328 2.519
Cd -0.982 -8.768 -0.640
Cd -5.888 -6.826 1.987
Cd -2.762 -2.927 -2.757
Cd -4.431 -3.939 -8.318
Cd -4.848 -5.549 8.073
Cd -9.250 -1.808 -4.855
Cd -7.587 -0.822 0.713
Cd 0.051 -7.516 5.453
Ge -10.279 -0.582 -1.147
Ge -4.118 -8.160 -1.389
Ge -8.439 0.358 4.334
Ge 1.892 -8.795 2.258
Ge -3.626 -1.790 0.876
Ge 0.848 -10.091 -3.824
Ge -5.461 -2.717 -4.609
Ge -3.077 -6.878 4.696
```